DFT (PBE) results for a relaxed La3Mg2NbO9 crystal.

Output
symmetry	Immm
VASP energy	-7.848	eV per atom
ΔH_f (0 K)	-3.42	eV/atom

Cell: 9.847 9.847 9.847 Å, 146.64 131.98 59.73°
Sites, in units of the cell vectors:
La 0.586 0.852 0.734
La 0.414 0.148 0.266
La 0.721 0.500 0.221
La 0.881 0.148 0.734
La 0.279 0.500 0.779
La 0.119 0.852 0.266
O 0.403 0.656 0.748
O 0.089 0.328 0.239
O 0.582 0.332 0.750
O 0.089 0.850 0.761
O 0.582 0.832 0.250
O 0.249 0.000 0.249
O 0.254 0.991 0.737
O 0.911 0.150 0.239
O 0.418 0.168 0.750
O 0.254 0.517 0.263
O 0.746 0.009 0.263
O 0.418 0.668 0.250
O 0.597 0.344 0.252
O 0.911 0.672 0.761
O 0.092 0.344 0.748
O 0.746 0.483 0.737
O 0.751 0.000 0.751
O 0.908 0.656 0.252
Mg 0.000 0.000 0.000
Mg 0.668 0.668 0.000
Mg 0.332 0.332 0.000
Mg 0.500 0.000 0.500
Nb 0.831 0.331 0.500
Nb 0.169 0.669 0.500